First-principles (PBE+U) data for a relaxed Na2MnFeF7 crystal, as listed in the Materials Project database.

```
data_Na2MnFeF7
_symmetry_space_group_name_H-M 'P 31'
_symmetry_Int_Tables_number 144
_cell_length_a 7.5863
_cell_length_b 7.5863
_cell_length_c 18.5239
_cell_angle_alpha 90.00
_cell_angle_beta 90.00
_cell_angle_gamma 120.00
loop_
_symmetry_equiv_pos_as_xyz
'x,y,z'
'-y,x-y,z+1/3'
'-x+y,-x,z+2/3'
loop_
_atom_site_label
_atom_site_type_symbol
_atom_site_fract_x
_atom_site_fract_y
_atom_site_fract_z
Na1 Na 0.0375 0.8308 0.0000
Na2 Na 0.1659 0.7064 0.3314
Na3 Na 0.5245 0.3353 0.9997
Na4 Na 0.5313 0.3756 0.5013
Mn1 Mn 0.0099 0.8394 0.5016
Mn2 Mn 0.1674 0.6713 0.8281
Fe1 Fe 0.0031 0.3340 0.4982
Fe2 Fe 0.3503 0.0172 0.6645
F1 F 0.0369 0.4005 0.3940
F2 F 0.0418 0.2856 0.2057
F3 F 0.0464 0.9023 0.1405
F4 F 0.0875 0.8915 0.6129
F5 F 0.1003 0.3861 0.7885
F6 F 0.1018 0.5735 0.9368
F7 F 0.2257 0.7559 0.7171
F8 F 0.2331 0.1375 0.7268
F9 F 0.2333 0.7106 0.1889
F10 F 0.2967 0.0299 0.2691
F11 F 0.4257 0.2813 0.1395
F12 F 0.4692 0.2760 0.6128
F13 F 0.4771 0.3833 0.8569
F14 F 0.5273 0.3920 0.3840
```

Properties
Formation enthalpy at 0 K: -2873 meV/atom

***

First-principles (PBE+U) data for a relaxed Na2MnFeF7 crystal, as listed in the Materials Project database.

```
data_Na2MnFeF7
_symmetry_space_group_name_H-M 'I m m a'
_symmetry_Int_Tables_number 74
_symmetry_space_group_name_Hall '-I 2b 2'
_cell_length_a 7.4820
_cell_length_b 10.7835
_cell_length_c 7.7134
_cell_angle_alpha 90.00
_cell_angle_beta 90.00
_cell_angle_gamma 90.00
loop_
_atom_site_label
_atom_site_type_symbol
_atom_site_fract_x
_atom_site_fract_y
_atom_site_fract_z
Na1 Na 0.0000 0.0000 0.0000
Na2 Na 0.2500 0.2500 0.2500
Mn1 Mn 0.2500 0.2500 0.7500
Fe1 Fe 0.0000 0.0000 0.5000
F1 F 0.0000 0.0871 0.2717
F2 F 0.0000 0.2500 0.8706
F3 F 0.1926 0.1122 0.5615
```

Properties
Formation enthalpy at 0 K: -2866 meV/atom

***

First-principles (PBE+U) data for a relaxed MnFe2Pb2O3F12 crystal, as listed in the Materials Project database.

```
data_MnFe2Pb2O3F12
_symmetry_space_group_name_H-M 'A m m 2'
_symmetry_Int_Tables_number 38
_cell_length_a 4.0190
_cell_length_b 16.0029
_cell_length_c 9.1944
_cell_angle_alpha 90.00
_cell_angle_beta 90.00
_cell_angle_gamma 90.00
loop_
_symmetry_equiv_pos_as_xyz
'x,y,z'
'-x,-y,z'
'-x,y,z'
'x,-y,z'
'x,y+1/2,z+1/2'
'-x,-y+1/2,z+1/2'
'-x,y+1/2,z+1/2'
'x,-y+1/2,z+1/2'
loop_
_atom_site_label
_atom_site_type_symbol
_atom_site_fract_x
_atom_site_fract_y
_atom_site_fract_z
Mn1 Mn 0.0000 0.0000 0.0000
Fe1 Fe 0.0000 0.1194 0.6449
Pb1 Pb 0.5000 0.1664 0.2634
O1 O 0.5000 0.0000 0.3324
O2 O 0.5000 0.2165 0.9784
F1 F 0.0000 0.0000 0.5964
F2 F 0.0000 0.0852 0.1418
F3 F 0.0000 0.0849 0.8519
F4 F 0.0000 0.1463 0.4416
F5 F 0.0000 0.2338 0.7063
F6 F 0.5000 0.0000 0.0039
F7 F 0.5000 0.1209 0.6447
```

Properties
Formation enthalpy at 0 K: -2026 meV/atom

***

First-principles (PBE+U) data for a relaxed MnFe2Pb8F24 crystal, as listed in the Materials Project database.

```
data_MnFe2Pb8F24
_symmetry_space_group_name_H-M 'P 1 21/c 1'
_symmetry_Int_Tables_number 14
_cell_length_a 9.5696
_cell_length_b 5.7334
_cell_length_c 20.4501
_cell_angle_alpha 90.00
_cell_angle_beta 104.59
_cell_angle_gamma 90.00
loop_
_symmetry_equiv_pos_as_xyz
'x,y,z'
'-x,-y,-z'
'-x,y+1/2,-z+1/2'
'x,-y+1/2,z+1/2'
loop_
_atom_site_label
_atom_site_type_symbol
_atom_site_fract_x
_atom_site_fract_y
_atom_site_fract_z
Mn1 Mn 0.0000 0.0000 0.0000
Fe1 Fe 0.2508 0.0018 0.4529
Pb1 Pb 0.0978 0.0020 0.8207
Pb2 Pb 0.1754 0.5296 0.1314
Pb3 Pb 0.3572 0.0285 0.2743
Pb4 Pb 0.4408 0.9999 0.0885
F1 F 0.1069 0.1825 0.4856
F2 F 0.1251 0.2416 0.7246
F3 F 0.1264 0.7175 0.4473
F4 F 0.1320 0.7439 0.7285
F5 F 0.1369 0.0741 0.3598
F6 F 0.1449 0.5575 0.5946
F7 F 0.3393 0.5741 0.0471
F8 F 0.3546 0.0633 0.8206
F9 F 0.3664 0.2137 0.9575
F10 F 0.3773 0.6789 0.9109
F11 F 0.3910 0.2480 0.6790
F12 F 0.3912 0.7400 0.1837
```

Properties
Formation enthalpy at 0 K: -2697 meV/atom

***

First-principles (PBE+U) data for a relaxed FeN2F5 crystal, as listed in the Materials Project database.

```
data_FeN2F5
_symmetry_space_group_name_H-M 'P n m a'
_symmetry_Int_Tables_number 62
_cell_length_a 5.9794
_cell_length_b 7.5683
_cell_length_c 10.4563
_cell_angle_alpha 90.00
_cell_angle_beta 90.00
_cell_angle_gamma 90.00
loop_
_symmetry_equiv_pos_as_xyz
'x,y,z'
'-x,-y,-z'
'-x+1/2,-y,z+1/2'
'x+1/2,y,-z+1/2'
'x+1/2,-y+1/2,-z+1/2'
'-x+1/2,y+1/2,z+1/2'
'-x,y+1/2,-z'
'x,-y+1/2,z'
loop_
_atom_site_label
_atom_site_type_symbol
_atom_site_fract_x
_atom_site_fract_y
_atom_site_fract_z
Fe1 Fe 0.0000 0.0000 0.0000
N1 N 0.0098 0.2500 0.3564
N2 N 0.0681 0.7500 0.3054
F1 F 0.0928 0.2500 0.9923
F2 F 0.1062 0.5291 0.8378
F3 F 0.2262 0.0529 0.5636
```

Properties
Formation enthalpy at 0 K: -79 meV/atom

***

First-principles (PBE+U) data for a relaxed Fe3NF9 crystal, as listed in the Materials Project database.

```
data_Fe3NF9
_symmetry_space_group_name_H-M 'P 6/m m m'
_symmetry_Int_Tables_number 191
_symmetry_space_group_name_Hall '-P 6 2'
_cell_length_a 7.5258
_cell_length_b 7.5258
_cell_length_c 3.9058
_cell_angle_alpha 90.00
_cell_angle_beta 90.00
_cell_angle_gamma 120.00
loop_
_atom_site_label
_atom_site_type_symbol
_atom_site_fract_x
_atom_site_fract_y
_atom_site_fract_z
Fe1 Fe 0.0000 0.5000 0.0000
N1 N 0.0000 0.0000 0.5000
F1 F 0.0000 0.5000 0.5000
F2 F 0.2089 0.4178 0.0000
```

Properties
Formation enthalpy at 0 K: -2024 meV/atom

***

First-principles (PBE+U) data for a relaxed FeN2F5 crystal, as listed in the Materials Project database.

```
data_FeN2F5
_symmetry_space_group_name_H-M 'P b c n'
_symmetry_Int_Tables_number 60
_cell_length_a 7.0822
_cell_length_b 15.6108
_cell_length_c 9.2204
_cell_angle_alpha 90.00
_cell_angle_beta 90.00
_cell_angle_gamma 90.00
loop_
_symmetry_equiv_pos_as_xyz
'x,y,z'
'-x,-y,-z'
'-x+1/2,-y+1/2,z+1/2'
'x+1/2,y+1/2,-z+1/2'
'x+1/2,-y+1/2,-z'
'-x+1/2,y+1/2,z'
'-x,y,-z+1/2'
'x,-y,z+1/2'
loop_
_atom_site_label
_atom_site_type_symbol
_atom_site_fract_x
_atom_site_fract_y
_atom_site_fract_z
Fe1 Fe 0.1554 0.0941 0.0685
N1 N 0.0000 0.1291 0.7500
N2 N 0.0000 0.3951 0.2500
N3 N 0.1589 0.3437 0.9361
F1 F 0.0000 0.0000 0.0000
F2 F 0.0000 0.0884 0.2500
F3 F 0.0888 0.2068 0.0479
F4 F 0.1363 0.4464 0.6559
F5 F 0.1836 0.2988 0.8189
F6 F 0.1911 0.3991 0.3742
```

Properties
Formation enthalpy at 0 K: -503 meV/atom

***

First-principles (PBE+U) data for a relaxed Fe4P2N3O8F9 crystal, as listed in the Materials Project database.

```
data_Fe4P2N3O8F9
_symmetry_space_group_name_H-M 'P 1 21/m 1'
_symmetry_Int_Tables_number 11
_cell_length_a 7.2614
_cell_length_b 14.6812
_cell_length_c 7.6101
_cell_angle_alpha 90.00
_cell_angle_beta 106.26
_cell_angle_gamma 90.00
loop_
_symmetry_equiv_pos_as_xyz
'x,y,z'
'-x,-y,-z'
'-x,y+1/2,-z'
'x,-y+1/2,z'
loop_
_atom_site_label
_atom_site_type_symbol
_atom_site_fract_x
_atom_site_fract_y
_atom_site_fract_z
Fe1 Fe 0.0181 0.2500 0.0406
Fe2 Fe 0.1782 0.1218 0.6848
Fe3 Fe 0.4756 0.7500 0.9420
P1 P 0.1519 0.6028 0.7092
N1 N 0.3025 0.5032 0.2004
N2 N 0.4320 0.7500 0.4561
O1 O 0.0051 0.6506 0.7896
O2 O 0.0772 0.5973 0.4992
O3 O 0.1859 0.5056 0.7916
O4 O 0.3460 0.6538 0.7612
F1 F 0.0300 0.1579 0.8589
F2 F 0.1626 0.2500 0.6059
F3 F 0.2637 0.7500 0.0560
F4 F 0.2979 0.2500 0.1486
F5 F 0.3328 0.0889 0.5432
F6 F 0.4086 0.1537 0.8880
```

Properties
Formation enthalpy at 0 K: -1395 meV/atom